[1]
Density functional theory data (PBE-GGA) for a relaxed structure of Li2CdP4O12.

Computed properties:
Calculated formation energy, eV/atom: -2.573
Magnetic moment, μB/f.u.: 0.001

Unit cell a=9.528 b=9.656 c=10.334 alpha=90.00 beta=90.00 gamma=90.00
Atoms (fractional coordinates):
1 Li 0.105 0.497 0.323
2 Li 0.895 0.503 0.677
3 Li 0.895 0.003 0.823
4 Li 0.105 0.997 0.177
5 Li 0.395 0.997 0.177
6 Li 0.605 0.003 0.823
7 Li 0.605 0.503 0.677
8 Li 0.395 0.497 0.323
9 Cd 0.250 0.488 0.694
10 Cd 0.750 0.512 0.306
11 Cd 0.250 0.988 0.806
12 Cd 0.750 0.012 0.194
13 P 0.750 0.304 0.900
14 P 0.532 0.793 0.388
15 P 0.468 0.707 0.888
16 P 0.750 0.804 0.600
17 P 0.750 0.230 0.485
18 P 0.250 0.270 0.985
19 P 0.250 0.696 0.100
20 P 0.532 0.293 0.112
21 P 0.968 0.293 0.112
22 P 0.250 0.770 0.515
23 P 0.032 0.707 0.888
24 P 0.750 0.730 0.015
25 P 0.032 0.207 0.612
26 P 0.468 0.207 0.612
27 P 0.968 0.793 0.388
28 P 0.250 0.196 0.400
29 O 0.375 0.831 0.428
30 O 0.375 0.331 0.072
31 O 0.250 0.613 0.508
32 O 0.560 0.884 0.273
33 O 0.750 0.887 0.008
34 O 0.452 0.362 0.623
35 O 0.452 0.862 0.877
36 O 0.750 0.899 0.714
37 O 0.875 0.669 0.928
38 O 0.952 0.638 0.377
39 O 0.882 0.850 0.511
40 O 0.750 0.162 0.356
41 O 0.048 0.362 0.623
42 O 0.060 0.616 0.773
43 O 0.048 0.862 0.877
44 O 0.250 0.338 0.856
45 O 0.625 0.669 0.928
46 O 0.060 0.116 0.727
47 O 0.750 0.387 0.492
48 O 0.118 0.150 0.489
49 O 0.125 0.331 0.072
50 O 0.940 0.384 0.227
51 O 0.625 0.169 0.572
52 O 0.250 0.101 0.286
53 O 0.382 0.650 0.011
54 O 0.952 0.138 0.123
55 O 0.882 0.350 0.989
56 O 0.750 0.650 0.620
57 O 0.560 0.384 0.227
58 O 0.940 0.884 0.273
59 O 0.250 0.838 0.644
60 O 0.250 0.601 0.214
61 O 0.548 0.638 0.377
62 O 0.382 0.150 0.489
63 O 0.250 0.113 0.992
64 O 0.125 0.831 0.428
65 O 0.750 0.662 0.144
66 O 0.440 0.116 0.727
67 O 0.118 0.650 0.011
68 O 0.875 0.169 0.572
69 O 0.750 0.150 0.880
70 O 0.618 0.850 0.511
71 O 0.440 0.616 0.773
72 O 0.250 0.350 0.380
73 O 0.250 0.850 0.120
74 O 0.618 0.350 0.989
75 O 0.750 0.399 0.786
76 O 0.548 0.138 0.123

---

[2]
Density functional theory data (PBE-GGA) for a relaxed structure of Tb4MgRu.

Computed properties:
Calculated formation energy, eV/atom: -0.238

Unit cell a=9.747 b=9.747 c=9.747 alpha=60.00 beta=60.00 gamma=60.00
Atoms (fractional coordinates):
1 Tb 0.594 0.594 0.594
2 Tb 0.594 0.594 0.220
3 Tb 0.594 0.220 0.594
4 Tb 0.220 0.594 0.594
5 Tb 0.063 0.437 0.437
6 Tb 0.437 0.063 0.063
7 Tb 0.437 0.063 0.437
8 Tb 0.063 0.437 0.063
9 Tb 0.437 0.437 0.063
10 Tb 0.063 0.063 0.437
11 Tb 0.187 0.813 0.813
12 Tb 0.813 0.187 0.187
13 Tb 0.813 0.187 0.813
14 Tb 0.187 0.813 0.187
15 Tb 0.813 0.813 0.187
16 Tb 0.187 0.187 0.813
17 Mg 0.829 0.829 0.829
18 Mg 0.829 0.829 0.513
19 Mg 0.829 0.513 0.829
20 Mg 0.513 0.829 0.829
21 Ru 0.389 0.389 0.389
22 Ru 0.389 0.389 0.833
23 Ru 0.389 0.833 0.389
24 Ru 0.833 0.389 0.389

---

[3]
Density functional theory data (PBE-GGA) for a relaxed structure of Sr3Pa.

Computed properties:
Calculated formation energy, eV/atom: 0.721
Magnetic moment, μB/f.u.: 3.413

Unit cell a=5.642 b=5.642 c=5.642 alpha=90.00 beta=90.00 gamma=90.00
Atoms (fractional coordinates):
1 Sr 0.000 0.500 0.500
2 Sr 0.500 0.000 0.500
3 Sr 0.500 0.500 0.000
4 Pa 0.000 0.000 0.000

---

[4]
Density functional theory data (PBE-GGA) for a relaxed structure of CeSe2.

Computed properties:
Calculated formation energy, eV/atom: -1.395
Magnetic moment, μB/f.u.: 0.000

Unit cell a=14.127 b=16.449 c=16.480 alpha=90.00 beta=90.00 gamma=90.00
Atoms (fractional coordinates):
1 Ce 0.313 0.670 0.379
2 Ce 0.313 0.330 0.621
3 Ce 0.687 0.170 0.121
4 Ce 0.687 0.830 0.879
5 Ce 0.687 0.330 0.621
6 Ce 0.687 0.670 0.379
7 Ce 0.313 0.830 0.879
8 Ce 0.313 0.170 0.121
9 Ce 0.187 0.879 0.170
10 Ce 0.187 0.121 0.830
11 Ce 0.813 0.379 0.330
12 Ce 0.813 0.621 0.670
13 Ce 0.813 0.121 0.830
14 Ce 0.813 0.879 0.170
15 Ce 0.187 0.621 0.670
16 Ce 0.187 0.379 0.330
17 Se 0.500 0.351 0.646
18 Se 0.500 0.649 0.354
19 Se 0.500 0.851 0.854
20 Se 0.500 0.149 0.146
21 Se 0.000 0.147 0.849
22 Se 0.000 0.853 0.151
23 Se 0.000 0.647 0.651
24 Se 0.000 0.353 0.349
25 Se 0.251 0.806 0.306
26 Se 0.251 0.194 0.694
27 Se 0.749 0.306 0.194
28 Se 0.749 0.694 0.806
29 Se 0.749 0.194 0.694
30 Se 0.749 0.806 0.306
31 Se 0.251 0.694 0.806
32 Se 0.251 0.306 0.194
33 Se 0.220 0.540 0.317
34 Se 0.220 0.460 0.683
35 Se 0.780 0.040 0.183
36 Se 0.780 0.960 0.817
37 Se 0.780 0.460 0.683
38 Se 0.780 0.540 0.317
39 Se 0.220 0.960 0.817
40 Se 0.220 0.040 0.183
41 Se 0.279 0.816 0.040
42 Se 0.279 0.184 0.960
43 Se 0.721 0.316 0.460
44 Se 0.721 0.684 0.540
45 Se 0.721 0.184 0.960
46 Se 0.721 0.816 0.040
47 Se 0.279 0.684 0.540
48 Se 0.279 0.316 0.460

---

[5]
Density functional theory data (PBE-GGA) for a relaxed structure of TbInAg2.

Computed properties:
Calculated formation energy, eV/atom: -0.372

Unit cell a=4.971 b=4.971 c=4.971 alpha=60.00 beta=60.00 gamma=60.00
Atoms (fractional coordinates):
1 Tb 0.500 0.500 0.500
2 In 0.000 0.000 0.000
3 Ag 0.750 0.750 0.750
4 Ag 0.250 0.250 0.250

---

[6]
Density functional theory data (PBE-GGA) for a relaxed structure of BSbO3.

Computed properties:
Calculated formation energy, eV/atom: -2.228
Magnetic moment, μB/f.u.: 0.000

Unit cell a=5.021 b=5.021 c=13.025 alpha=82.23 beta=82.23 gamma=102.28
Atoms (fractional coordinates):
1 B 0.938 0.344 0.353
2 B 0.656 0.062 0.147
3 B 0.344 0.938 0.853
4 B 0.062 0.656 0.647
5 Sb 0.667 0.015 0.628
6 Sb 0.015 0.667 0.128
7 Sb 0.333 0.985 0.372
8 Sb 0.985 0.333 0.872
9 O 0.873 0.285 0.097
10 O 0.715 0.127 0.403
11 O 0.898 0.563 0.286
12 O 0.437 0.102 0.214
13 O 0.799 0.663 0.626
14 O 0.663 0.799 0.126
15 O 0.337 0.201 0.874
16 O 0.201 0.337 0.374
17 O 0.563 0.898 0.786
18 O 0.102 0.437 0.714
19 O 0.285 0.873 0.597
20 O 0.127 0.715 0.903

---

[7]
Density functional theory data (PBE-GGA) for a relaxed structure of BaTe2.

Computed properties:
Calculated formation energy, eV/atom: -1.475

Unit cell a=6.863 b=6.863 c=6.863 alpha=116.36 beta=116.36 gamma=96.42
Atoms (fractional coordinates):
1 Ba 0.750 0.750 0.000
2 Ba 0.250 0.250 0.000
3 Te 0.362 0.862 0.224
4 Te 0.862 0.638 0.500
5 Te 0.638 0.138 0.776
6 Te 0.138 0.362 0.500

---

[8]
Density functional theory data (PBE-GGA) for a relaxed structure of LiTiS2O.

Computed properties:
Calculated formation energy, eV/atom: -1.330
Magnetic moment, μB/f.u.: 0.302

Unit cell a=7.810 b=7.810 c=7.810 alpha=24.92 beta=24.92 gamma=24.92
Atoms (fractional coordinates):
1 Li 0.668 0.668 0.668
2 Ti 0.834 0.834 0.834
3 S 0.437 0.437 0.437
4 S 0.230 0.230 0.230
5 O 0.001 0.001 0.001

---

[9]
Density functional theory data (PBE-GGA) for a relaxed structure of Ba3LiRu2O9.

Computed properties:
Calculated formation energy, eV/atom: -2.299
Magnetic moment, μB/f.u.: 4.995

Unit cell a=5.868 b=5.868 c=14.394 alpha=90.00 beta=90.00 gamma=120.00
Atoms (fractional coordinates):
1 Ba 0.333 0.667 0.590
2 Ba 0.667 0.333 0.090
3 Ba 0.667 0.333 0.410
4 Ba 0.333 0.667 0.910
5 Ba 0.000 0.000 0.250
6 Ba 0.000 0.000 0.750
7 Li 0.000 0.000 0.000
8 Li 0.000 0.000 0.500
9 Ru 0.333 0.667 0.348
10 Ru 0.667 0.333 0.848
11 Ru 0.667 0.333 0.652
12 Ru 0.333 0.667 0.152
13 O 0.483 0.967 0.250
14 O 0.517 0.483 0.750
15 O 0.967 0.483 0.750
16 O 0.033 0.517 0.250
17 O 0.483 0.517 0.250
18 O 0.517 0.033 0.750
19 O 0.174 0.348 0.414
20 O 0.826 0.174 0.914
21 O 0.348 0.174 0.914
22 O 0.652 0.826 0.414
23 O 0.174 0.826 0.414
24 O 0.826 0.652 0.586
25 O 0.826 0.174 0.586
26 O 0.826 0.652 0.914
27 O 0.348 0.174 0.586
28 O 0.652 0.826 0.086
29 O 0.174 0.348 0.086
30 O 0.174 0.826 0.086

---

[10]
Density functional theory data (PBE-GGA) for a relaxed structure of PrHo3.

Computed properties:
Calculated formation energy, eV/atom: 0.023

Unit cell a=5.059 b=5.059 c=5.059 alpha=90.00 beta=90.00 gamma=90.00
Atoms (fractional coordinates):
1 Pr 0.000 0.000 0.000
2 Ho 0.000 0.500 0.500
3 Ho 0.500 0.000 0.500
4 Ho 0.500 0.500 0.000

---

[11]
Density functional theory data (PBE-GGA) for a relaxed structure of Pr2Te2O7.

Computed properties:
Calculated formation energy, eV/atom: -2.488
Magnetic moment, μB/f.u.: 0.000

Unit cell a=7.801 b=7.801 c=7.801 alpha=60.00 beta=60.00 gamma=60.00
Atoms (fractional coordinates):
1 Pr 0.125 0.125 0.125
2 Pr 0.625 0.125 0.125
3 Pr 0.125 0.125 0.625
4 Pr 0.125 0.625 0.125
5 Te 0.625 0.625 0.625
6 Te 0.125 0.625 0.625
7 Te 0.625 0.625 0.125
8 Te 0.625 0.125 0.625
9 O 0.283 0.283 0.717
10 O 0.533 0.533 0.967
11 O 0.717 0.283 0.717
12 O 0.717 0.283 0.283
13 O 0.283 0.717 0.717
14 O 0.283 0.717 0.283
15 O 0.533 0.967 0.533
16 O 0.967 0.533 0.967
17 O 0.250 0.250 0.250
18 O 0.000 0.000 0.000
19 O 0.717 0.717 0.283
20 O 0.967 0.533 0.533
21 O 0.533 0.967 0.967
22 O 0.967 0.967 0.533

---

[12]
Density functional theory data (PBE-GGA) for a relaxed structure of K4U5Te2O21.

Computed properties:
Calculated formation energy, eV/atom: -3.032

Unit cell a=7.116 b=7.187 c=11.556 alpha=99.99 beta=95.40 gamma=99.77
Atoms (fractional coordinates):
1 K 0.562 0.292 0.085
2 K 0.302 0.160 0.733
3 K 0.438 0.708 0.915
4 K 0.698 0.840 0.267
5 U 0.777 0.875 0.685
6 U 0.223 0.125 0.315
7 U 0.125 0.570 0.180
8 U 0.875 0.430 0.820
9 U 0.000 0.000 0.000
10 Te 0.679 0.315 0.515
11 Te 0.321 0.685 0.485
12 O 0.086 0.876 0.162
13 O 0.754 0.990 0.047
14 O 0.411 0.232 0.510
15 O 0.007 0.871 0.623
16 O 0.914 0.124 0.838
17 O 0.115 0.471 0.767
18 O 0.373 0.613 0.134
19 O 0.127 0.246 0.152
20 O 0.246 0.010 0.953
21 O 0.885 0.529 0.233
22 O 0.238 0.827 0.373
23 O 0.762 0.173 0.627
24 O 0.714 0.529 0.642
25 O 0.534 0.874 0.732
26 O 0.589 0.768 0.490
27 O 0.000 0.500 0.000
28 O 0.993 0.129 0.377
29 O 0.873 0.754 0.848
30 O 0.466 0.126 0.268
31 O 0.627 0.387 0.866
32 O 0.286 0.471 0.358